Record 1
A plane-wave DFT calculation with r2SCAN was carried out for HfCdO3 after structural relaxation.

a b c (Å): 5.6575 7.9590 5.4940
angles (deg): 90.00 90.00 90.00
Fractional coordinates of all 20 atoms:
Hf 0.0000 0.0000 0.0000
Hf 0.0000 0.5000 0.0000
Hf 0.5000 0.0000 0.5000
Hf 0.5000 0.5000 0.5000
Cd 0.0453 0.2500 0.4895
Cd 0.4547 0.7500 0.9895
Cd 0.5453 0.2500 0.0105
Cd 0.9547 0.7500 0.5105
O 0.0454 0.7500 0.1080
O 0.1954 0.5574 0.6917
O 0.1954 0.9426 0.6917
O 0.3046 0.0574 0.1917
O 0.3046 0.4426 0.1917
O 0.4546 0.2500 0.6080
O 0.5454 0.7500 0.3920
O 0.6954 0.5574 0.8083
O 0.6954 0.9426 0.8083
O 0.8046 0.0574 0.3083
O 0.8046 0.4426 0.3083
O 0.9546 0.2500 0.8920

Final energy (eV/atom): -19.464
SG: Pnma (62)
Energy relative to the elements (eV per atom): -2.83
Crystal system: orthorhombic


Record 2
A plane-wave DFT calculation with r2SCAN was carried out for Cd3Hg after structural relaxation.

a b c (Å): 3.0663 3.0663 11.0159
angles (deg): 90.00 90.00 120.00
Fractional coordinates of all 4 atoms:
Cd 0.0000 0.0000 0.0000
Cd 0.3333 0.6667 0.2452
Cd 0.3333 0.6667 0.7548
Hg 0.0000 0.0000 0.5000

Final energy (eV/atom): -27.381
SG: P-6m2 (187)
Energy relative to the elements (eV per atom): 0.04
Crystal system: hexagonal


Record 3
A plane-wave DFT calculation with r2SCAN was carried out for Cd2Hg after structural relaxation.

a b c (Å): 5.1463 5.1463 5.1463
angles (deg): 134.04 134.04 67.02
Fractional coordinates of all 3 atoms:
Cd 0.1658 0.1658 0.0000
Cd 0.8342 0.8342 0.0000
Hg 0.5000 0.5000 0.0000

Final energy (eV/atom): -29.854
SG: I4/mmm (139)
Energy relative to the elements (eV per atom): 0.00
Crystal system: tetragonal